This record from Materials Project describes a relaxed structure of ZnGaP2H4NO8. The functional is PBE.

abc: 9.1626 9.4776 9.4856
angles: 89.10 82.26 83.07
With the nearest neighbours (Å) after each atom.
Space group P1 (No. 1)
Asymmetric unit:
Zn (0.0000, 0.0000, 0.0000)  4 O 1.93-1.99
Zn (0.1269, 0.5965, 0.0841)  4 O 1.95-1.97
Zn (0.4452, 0.2278, 0.3580)  4 O 1.90-1.97
Zn (0.6361, 0.8396, 0.8381)  4 O 1.91-1.97
Ga (0.1801, 0.4860, 0.6093)  4 O 1.81-1.85
Ga (0.4976, 0.7582, 0.2469)  4 O 1.84-1.89
Ga (0.6781, 0.3743, 0.7291)  4 O 1.84-1.86
Ga (0.9489, 0.1137, 0.4703)  4 O 1.83-1.86
P (0.0175, 0.2438, 0.7535)  4 O 1.52-1.56
P (0.1046, 0.3551, 0.3309)  4 O 1.52-1.58
P (0.1493, 0.8868, 0.2545)  4 O 1.53-1.57
P (0.4790, 0.5880, 0.9559)  4 O 1.53-1.58
P (0.5193, 0.5143, 0.4812)  4 O 1.52-1.57
P (0.6093, 0.0876, 0.6014)  4 O 1.52-1.58
P (0.6443, 0.0143, 0.1266)  4 O 1.53-1.59
P (0.9831, 0.7110, 0.8267)  4 O 1.54-1.57
H (0.1943, 0.9041, 0.6848)  1 N 1.04
H (0.2578, 0.2224, 0.9066)  1 N 1.03
H (0.2690, 0.8624, 0.5153)  1 N 1.03
H (0.2940, 0.1891, 0.0721)  1 N 1.03
H (0.3348, 0.7740, 0.6549)  1 N 1.03
H (0.3577, 0.3302, 0.9821)  1 N 1.04
H (0.3701, 0.9410, 0.6184)  1 N 1.03
H (0.4339, 0.1604, 0.9391)  1 N 1.04
H (0.6946, 0.4358, 0.1507)  1 N 1.03
H (0.7598, 0.6613, 0.4679)  1 N 1.03
H (0.7695, 0.2689, 0.1057)  1 N 1.04
H (0.7941, 0.8275, 0.4338)  1 N 1.03
H (0.8347, 0.4110, 0.0159)  1 N 1.03
H (0.8572, 0.7384, 0.5750)  1 N 1.05
H (0.8716, 0.3759, 0.1802)  1 N 1.03
H (0.9352, 0.6962, 0.4036)  1 N 1.04
N (0.2916, 0.8712, 0.6185)  4 H 1.03-1.04
N (0.3368, 0.2252, 0.9738)  4 H 1.03-1.04
N (0.7918, 0.3732, 0.1134)  4 H 1.03-1.04
N (0.8380, 0.7302, 0.4693)  4 H 1.03-1.05
O (0.0178, 0.1220, 0.6452)  1 P 1.56
O (0.0326, 0.1823, 0.9005)  1 P 1.52
O (0.0463, 0.8486, 0.8611)  1 P 1.55
O (0.0551, 0.9490, 0.3953)  1 P 1.57
O (0.0858, 0.4199, 0.1853)  1 P 1.53
O (0.0858, 0.7493, 0.2240)  1 P 1.54
O (0.0884, 0.6509, 0.6905)  1 P 1.57
O (0.1069, 0.4791, 0.4382)  1 P 1.57
O (0.1508, 0.9935, 0.1319)  1 P 1.53
O (0.1574, 0.3231, 0.7129)  1 P 1.56
O (0.2376, 0.2421, 0.3328)  1 P 1.52
O (0.3090, 0.8511, 0.2993)  1 P 1.57
O (0.3266, 0.5349, 0.9887)  1 P 1.53
O (0.3780, 0.5154, 0.5923)  1 P 1.55
O (0.4683, 0.1258, 0.5315)  1 P 1.53
O (0.4814, 0.7103, 0.8495)  1 P 1.53
O (0.5248, 0.4115, 0.3588)  1 P 1.52
O (0.5332, 0.6667, 0.4195)  1 P 1.56
O (0.5370, 0.6290, 0.0979)  1 P 1.58
O (0.5474, 0.1496, 0.1834)  1 P 1.53
O (0.5841, 0.9734, 0.9907)  1 P 1.54
O (0.5892, 0.4544, 0.8995)  1 P 1.57
O (0.6012, 0.9387, 0.6622)  1 P 1.52
O (0.6144, 0.1971, 0.7235)  1 P 1.58
O (0.6355, 0.8855, 0.2357)  1 P 1.59
O (0.6547, 0.4826, 0.5667)  1 P 1.57
O (0.7507, 0.0897, 0.4888)  1 P 1.57
O (0.8053, 0.0492, 0.1042)  1 P 1.54
O (0.8295, 0.7387, 0.7753)  1 P 1.54
O (0.8778, 0.3547, 0.7505)  1 P 1.56
O (0.9588, 0.2827, 0.3748)  1 P 1.58
O (0.9809, 0.6048, 0.9512)  1 P 1.54

Summary:
total energy after the MP2020 corrections	-109.51	eV per formula unit
formation energy	-32.905	eV per formula unit
raw total energy	-416.1	eV/cell
relative energy among the computed polymorphs	0	meV/atom